A plane-wave DFT calculation with PBE was carried out for a relaxed structure of Nd3I.

Output
Polymorph energy (0 for the lowest one) in eV per atom: 0.009
Final energy in eV/atom: -4.087
Crystal system: tetragonal

Cell: 4.941 4.941 10.935 Å, 90.00 90.00 90.00°
Fractional coordinates of all 8 atoms:
Nd: 0.000 0.000 0.000
Nd: 0.000 0.500 0.250
Nd: 0.000 0.500 0.750
Nd: 0.500 0.000 0.250
Nd: 0.500 0.000 0.750
Nd: 0.500 0.500 0.500
I: 0.000 0.000 0.500
I: 0.500 0.500 0.000

---

A plane-wave DFT calculation with PBE was carried out for a relaxed structure of Rb4CdCl6.

Output
Polymorph energy (0 for the lowest one) in eV per atom: 0.000
Final energy in eV/atom: -3.180
Crystal system: trigonal

Cell: 9.038 9.038 9.038 Å, 89.42 89.42 89.42°
Fractional coordinates of all 22 atoms:
Rb: 0.126 0.750 0.374
Rb: 0.250 0.250 0.250
Rb: 0.250 0.626 0.874
Rb: 0.374 0.126 0.750
Rb: 0.626 0.874 0.250
Rb: 0.750 0.374 0.126
Rb: 0.750 0.750 0.750
Rb: 0.874 0.250 0.626
Cd: 0.000 0.000 0.000
Cd: 0.500 0.500 0.500
Cl: 0.058 0.931 0.715
Cl: 0.069 0.285 0.942
Cl: 0.215 0.431 0.558
Cl: 0.285 0.942 0.069
Cl: 0.431 0.558 0.215
Cl: 0.442 0.785 0.569
Cl: 0.558 0.215 0.431
Cl: 0.569 0.442 0.785
Cl: 0.715 0.058 0.931
Cl: 0.785 0.569 0.442
Cl: 0.931 0.715 0.058
Cl: 0.942 0.069 0.285

---

A plane-wave DFT calculation with PBE was carried out for a relaxed structure of RbAs2Ru2.

Output
Final energy in eV/atom: -6.164
Crystal system: tetragonal

Cell: 4.154 4.154 13.771 Å, 90.00 90.00 90.00°
Fractional coordinates of all 10 atoms:
Rb: 0.000 0.000 0.000
Rb: 0.500 0.500 0.500
As: 0.000 0.000 0.342
As: 0.000 0.000 0.658
As: 0.500 0.500 0.158
As: 0.500 0.500 0.842
Ru: 0.000 0.500 0.250
Ru: 0.000 0.500 0.750
Ru: 0.500 0.000 0.250
Ru: 0.500 0.000 0.750

---

A plane-wave DFT calculation with PBE was carried out for a relaxed structure of AlP2H4O8F.

Output
Polymorph energy (0 for the lowest one) in eV per atom: 0.000
Final energy in eV/atom: -6.332
Crystal system: monoclinic

Cell: 8.647 4.844 16.061 Å, 90.00 99.52 90.00°
Fractional coordinates of all 64 atoms:
Al: 0.000 0.034 0.000
Al: 0.000 0.966 0.500
Al: 0.273 0.466 0.599
Al: 0.273 0.534 0.099
P: 0.002 0.213 0.683
P: 0.002 0.787 0.183
P: 0.272 0.286 0.916
P: 0.272 0.714 0.416
P: 0.500 0.039 0.162
P: 0.500 0.961 0.662
P: 0.773 0.460 0.437
P: 0.773 0.540 0.937
H: 0.027 0.015 0.809
H: 0.027 0.985 0.309
H: 0.247 0.484 0.791
H: 0.247 0.516 0.291
H: 0.345 0.126 0.380
H: 0.345 0.874 0.880
H: 0.582 0.462 0.512
H: 0.582 0.538 0.012
H: 0.617 0.171 0.287
H: 0.617 0.829 0.787
H: 0.663 0.336 0.817
H: 0.663 0.664 0.317
H: 0.691 0.036 0.087
H: 0.691 0.964 0.587
H: 0.929 0.375 0.220
H: 0.929 0.625 0.720
O: 0.004 0.039 0.248
O: 0.004 0.961 0.748
O: 0.105 0.166 0.910
O: 0.105 0.834 0.410
O: 0.168 0.334 0.689
O: 0.168 0.666 0.189
O: 0.270 0.462 0.352
O: 0.270 0.538 0.852
O: 0.346 0.403 0.001
O: 0.346 0.597 0.501
O: 0.372 0.251 0.167
O: 0.372 0.749 0.667
O: 0.384 0.067 0.885
O: 0.384 0.933 0.385
O: 0.448 0.245 0.629
O: 0.448 0.755 0.129
O: 0.595 0.005 0.755
O: 0.595 0.995 0.255
O: 0.617 0.167 0.106
O: 0.617 0.833 0.606
O: 0.657 0.333 0.493
O: 0.657 0.667 0.993
O: 0.672 0.480 0.345
O: 0.672 0.520 0.845
O: 0.824 0.254 0.967
O: 0.824 0.746 0.467
O: 0.890 0.431 0.715
O: 0.890 0.569 0.215
O: 0.900 0.248 0.432
O: 0.900 0.752 0.932
O: 0.927 0.097 0.599
O: 0.927 0.903 0.099
F: 0.096 0.317 0.068
F: 0.096 0.683 0.568
F: 0.176 0.183 0.532
F: 0.176 0.817 0.032

---

A plane-wave DFT calculation with PBE was carried out for a relaxed structure of LiAl2Cu2O6.

Output
Polymorph energy (0 for the lowest one) in eV per atom: 0.000
Final energy in eV/atom: -5.985
Crystal system: trigonal

Cell: 3.037 3.037 13.313 Å, 90.00 90.00 120.00°
Fractional coordinates of all 11 atoms:
Li: 0.000 0.000 0.000
Al: 0.333 0.667 0.386
Al: 0.333 0.667 0.823
Cu: 0.000 0.000 0.605
Cu: 0.667 0.333 0.166
O: 0.000 0.000 0.454
O: 0.000 0.000 0.757
O: 0.333 0.667 0.097
O: 0.333 0.667 0.608
O: 0.667 0.333 0.316
O: 0.667 0.333 0.898

---

A plane-wave DFT calculation with PBE was carried out for a relaxed structure of Cs2YHgBr6.

Output
Final energy in eV/atom: -3.353
Crystal system: cubic

Cell: 8.318 8.318 8.318 Å, 60.00 60.00 60.00°
Fractional coordinates of all 10 atoms:
Cs: 0.250 0.250 0.250
Cs: 0.750 0.750 0.750
Y: 0.000 0.000 0.000
Hg: 0.500 0.500 0.500
Br: 0.238 0.238 0.762
Br: 0.238 0.762 0.238
Br: 0.238 0.762 0.762
Br: 0.762 0.238 0.238
Br: 0.762 0.238 0.762
Br: 0.762 0.762 0.238